VASP calculation (PBE) on a geometry-optimized Cr3CdTe4 structure.

* crystal system: cubic
* uncorrected energy: -5.31 eV/atom
* DFT formation energy: -0.2114 eV per atom
* space-group type: P-43m
* size of the total moment: 1.500 μB/atom

Unit cell a=6.356 b=6.356 c=6.356 alpha=90.00 beta=90.00 gamma=90.00
Sites, in units of the cell vectors:
Te1 0.262 0.738 0.738
Te2 0.738 0.262 0.738
Te3 0.262 0.262 0.262
Te4 0.738 0.738 0.262
Cr1 0.500 0.500 0.000
Cr2 0.000 0.500 0.500
Cr3 0.500 0.000 0.500
Cd1 0.000 0.000 0.000